Run w
A relaxed Sr2MgV2Si4O14 crystal, computed with PBE+U.

Calculated values
space-group type	P1
total magnetic moment	0.01	μB/f.u.

Lattice parameters (Å, degrees): 5.5469 7.2882 7.8664 93.71 109.94 90.03
With the nearest neighbours (Å) after each atom.
Fractional coordinates of all 23 atoms:
O 0.4176 0.0727 0.3256  1 Si 1.62
O 0.5025 0.0108 0.0095  2 Si 1.62
O 0.0183 0.7511 0.0270  1 V 1.84, 1 Mg 1.92
O 0.4760 0.5089 0.0064  2 Si 1.64
O 0.8995 0.0733 0.3198  1 Si 1.64
O 0.6034 0.9419 0.7013  1 Si 1.63
O 0.4006 0.4584 0.3224  1 Si 1.61
O 0.6244 0.7672 0.2803  2 Si 1.67-1.68
O 0.6334 0.5425 0.7423  1 Si 1.63
O 0.1144 0.9444 0.6931  1 Si 1.62
O 0.3635 0.2490 0.7339  2 Si 1.67-1.68
O 0.1034 0.5612 0.6880  1 Si 1.61
O 0.9958 0.2627 0.9905  1 V 1.85, 1 Mg 1.92
O 0.8827 0.4709 0.2746  1 Si 1.63
Si 0.4023 0.0303 0.7927  4 O 1.62-1.68
Si 0.6083 0.9870 0.2255  4 O 1.62-1.68
Si 0.3802 0.4752 0.7846  4 O 1.61-1.67
Si 0.5895 0.5412 0.2284  4 O 1.61-1.67
Mg 0.8767 0.5077 0.0095  4 O 1.92-2.11
V 0.1236 0.2461 0.2383  3 O 1.85-2.05
V 0.9055 0.7688 0.7794  3 O 1.84-2.04
Sr 0.1882 0.7804 0.3933  9 O 2.64-2.95
Sr 0.8151 0.2335 0.6253  9 O 2.63-2.91

---

Run x
A relaxed Sr2MgV2Si4O14 crystal, computed with PBE+U.

Calculated values
space-group type	Pm
total magnetic moment	1.98	μB/f.u.

Lattice parameters (Å, degrees): 5.5054 7.1640 7.8587 90.00 109.40 90.00
With the nearest neighbours (Å) after each atom.
Fractional coordinates of all 23 atoms:
O 0.6093 0.5633 0.7270  1 Si 1.64
O 0.9089 0.4379 0.3231  1 Si 1.63
O 0.6390 0.7500 0.2500  2 Si 1.65
O 0.4340 0.4553 0.3470  1 Si 1.61
O 0.3618 0.2500 0.7000  2 Si 1.73
O 0.5224 0.0461 0.0212  2 Si 1.66-1.67
O 0.1109 0.5671 0.7119  1 Si 1.62
O 0.0623 0.2500 0.9178  1 V 1.77
O 0.0210 0.7500 0.0274  1 V 1.65
O 0.1109 0.9329 0.7119  1 Si 1.62
O 0.9089 0.0621 0.3231  1 Si 1.63
O 0.6093 0.9367 0.7270  1 Si 1.64
O 0.5224 0.4539 0.0212  2 Si 1.66-1.67
O 0.4340 0.0447 0.3470  1 Si 1.61
Mg 0.2055 0.2500 0.3659  4 O 1.97-2.06
V 0.8444 0.2500 0.0397  1 O 1.77
V 0.8986 0.7500 0.8053  1 O 1.65
Si 0.3900 0.0308 0.7984  4 O 1.62-1.73
Si 0.6184 0.5210 0.2368  4 O 1.61-1.67
Si 0.3900 0.4692 0.7984  4 O 1.62-1.73
Si 0.6184 0.9790 0.2368  4 O 1.61-1.67
Sr 0.2044 0.7500 0.4204  7 O 2.62-2.91
Sr 0.8129 0.2500 0.6095  1 O 2.36

---

Short version: run w, run x, most stable first.

---

Run w
A relaxed Mg6VSiO8 crystal, computed with PBE+U.

Calculated values
space-group type	P4/mmm
total magnetic moment	2.99	μB/f.u.

Lattice parameters (Å, degrees): 8.7045 4.3423 4.3423 90.00 90.00 90.00
With the nearest neighbours (Å) after each atom.
Fractional coordinates of all 16 atoms:
O 0.7548 0.0000 0.0000  1 V 2.13, 4 Mg 2.17, 1 Si 2.22
O 0.5000 0.0000 0.5000  4 Mg 2.17-2.19, 2 Si 2.17
O 0.0000 0.0000 0.5000  4 Mg 2.16-2.17, 2 V 2.17
O 0.0000 0.5000 0.0000  4 Mg 2.16-2.17, 2 V 2.17
O 0.7498 0.5000 0.5000  6 Mg 2.17-2.18
O 0.5000 0.5000 0.0000  4 Mg 2.17-2.19, 2 Si 2.17
O 0.2452 0.0000 0.0000  1 V 2.13, 4 Mg 2.17, 1 Si 2.22
O 0.2502 0.5000 0.5000  6 Mg 2.17-2.18
Si 0.5000 0.0000 0.0000  6 O 2.17-2.22
Mg 0.7520 0.5000 0.0000  6 O 2.16-2.19
Mg 0.2480 0.0000 0.5000  6 O 2.16-2.19
Mg 0.2480 0.5000 0.0000  6 O 2.16-2.19
Mg 0.7520 0.0000 0.5000  6 O 2.16-2.19
Mg 0.5000 0.5000 0.5000  6 O 2.17
Mg 0.0000 0.5000 0.5000  6 O 2.17-2.18
V 0.0000 0.0000 0.0000  6 O 2.13-2.17

---

Run x
A relaxed Mg6VSiO8 crystal, computed with PBE+U.

Calculated values
space-group type	P4/mmm
total magnetic moment	3.00	μB/f.u.

Lattice parameters (Å, degrees): 8.6886 4.3375 4.3375 90.00 90.00 90.00
With the nearest neighbours (Å) after each atom.
Fractional coordinates of all 16 atoms:
Mg 0.7461 0.0000 0.5000  6 O 2.14-2.21
Mg 0.7461 0.5000 0.0000  6 O 2.14-2.21
Mg 0.2539 0.0000 0.5000  6 O 2.14-2.21
Mg 0.5000 0.5000 0.5000  6 O 2.07-2.17
Mg 0.2539 0.5000 0.0000  6 O 2.14-2.21
Mg 0.5000 0.0000 0.0000  6 O 2.14-2.17
O 0.5000 0.0000 0.5000  6 Mg 2.14-2.17
O 0.0000 0.5000 0.0000  2 Si 2.17, 2 V 2.17, 2 Mg 2.21
O 0.5000 0.5000 0.0000  6 Mg 2.14-2.17
O 0.0000 0.0000 0.5000  2 Si 2.17, 2 V 2.17, 2 Mg 2.21
O 0.2619 0.5000 0.5000  5 Mg 2.07-2.17, 1 Si 2.28
O 0.2541 0.0000 0.0000  5 Mg 2.14-2.17, 1 V 2.21
O 0.7459 0.0000 0.0000  5 Mg 2.14-2.17, 1 V 2.21
O 0.7381 0.5000 0.5000  5 Mg 2.07-2.17, 1 Si 2.28
Si 0.0000 0.5000 0.5000  6 O 2.17-2.28
V 0.0000 0.0000 0.0000  6 O 2.17-2.21

---

Short version: run x, run w, most stable first.

---

Run w
A relaxed Mg2SnWO6 crystal, computed with PBE+U.

Calculated values
space-group type	P2_1/c
total magnetic moment	0.00	μB/f.u.

Lattice parameters (Å, degrees): 5.5731 5.5725 9.7843 55.95 90.00 90.00
With the nearest neighbours (Å) after each atom.
Fractional coordinates of all 20 atoms:
Mg 0.5160 0.8111 0.2233  4 O 2.01-2.08
Mg 0.0160 0.1889 0.2767  4 O 2.01-2.08
Mg 0.4840 0.1889 0.7767  4 O 2.01-2.08
Mg 0.9840 0.8111 0.7233  4 O 2.01-2.08
O 0.2947 0.5047 0.3938  1 W 1.94, 1 Mg 2.01
O 0.6286 0.2273 0.9558  1 W 1.94, 1 Mg 2.05
O 0.6352 0.8383 0.7874  1 W 2.01, 2 Mg 2.07-2.08
O 0.1286 0.7727 0.5442  1 W 1.94, 1 Mg 2.05
O 0.2053 0.5047 0.8938  1 W 1.94, 1 Mg 2.01
O 0.3714 0.7727 0.0442  1 W 1.94, 1 Mg 2.05
O 0.7053 0.4953 0.6062  1 W 1.94, 1 Mg 2.01
O 0.8648 0.8383 0.2874  1 W 2.01, 2 Mg 2.07-2.08
O 0.7947 0.4953 0.1062  1 W 1.94, 1 Mg 2.01
O 0.1352 0.1617 0.7126  1 W 2.01, 2 Mg 2.07-2.08
O 0.3648 0.1617 0.2126  1 W 2.01, 2 Mg 2.07-2.08
O 0.8714 0.2273 0.4558  1 W 1.94, 1 Mg 2.05
Sn 0.5000 0.0000 0.5000  4 O 2.34-2.54
Sn 0.0000 0.0000 0.0000  4 O 2.34-2.54
W 0.0000 0.5000 0.5000  6 O 1.94-2.01
W 0.5000 0.5000 0.0000  6 O 1.94-2.01

---

Run x
A relaxed Mg2SnWO6 crystal, computed with PBE+U.

Calculated values
space-group type	P1
piezoelectric modulus e_max	1.8	C/m²
total magnetic moment	0.00	μB/f.u.

Lattice parameters (Å, degrees): 5.2417 5.7063 5.7159 73.24 66.73 67.51
With the nearest neighbours (Å) after each atom.
Fractional coordinates of all 10 atoms:
W 0.9998 0.9415 0.0567  6 O 1.88-2.03
Sn 0.5190 0.5304 0.4359  2 O 2.11-2.12
O 0.6962 0.1654 0.9291  1 W 1.88, 1 Mg 2.04
O 0.3218 0.6326 0.1484  1 W 2.03, 1 Mg 2.07, 1 Sn 2.11
O 0.9584 0.1611 0.2980  1 W 2.02, 2 Mg 2.11-2.25
O 0.2884 0.0899 0.8180  1 W 1.88, 1 Mg 2.05
O 0.7294 0.8028 0.3838  1 W 2.01, 1 Mg 2.02, 1 Sn 2.12
O 0.0148 0.6969 0.8636  1 W 1.98, 2 Mg 2.05-2.10
Mg 0.7328 0.9437 0.6683  5 O 2.02-2.25
Mg 0.2591 0.3515 0.0334  5 O 2.04-2.12

---

Short version: run x, run w, most stable first.